First-principles (meta-GGA r2SCAN) data for a relaxed ZrGeIr crystal, as listed in Materials Project.

Unit cell a=4.044 b=6.607 c=7.543 alpha=90.00 beta=90.00 gamma=90.00
Element x y z (fractional)
Zr 0.250 0.019 0.813
Zr 0.250 0.519 0.687
Zr 0.750 0.981 0.187
Zr 0.750 0.481 0.313
Ge 0.250 0.771 0.383
Ge 0.250 0.271 0.117
Ge 0.750 0.229 0.617
Ge 0.750 0.729 0.883
Ir 0.250 0.151 0.434
Ir 0.250 0.651 0.066
Ir 0.750 0.849 0.566
Ir 0.750 0.349 0.934

***

First-principles (meta-GGA r2SCAN) data for a relaxed K3Ge17 crystal, as listed in Materials Project.

Unit cell a=11.088 b=11.088 c=11.088 alpha=60.00 beta=60.00 gamma=60.00
Element x y z (fractional)
K 0.000 0.000 0.500
K 0.000 0.500 0.000
K 0.500 0.000 0.000
K 0.000 0.000 0.000
K 0.375 0.375 0.375
K 0.625 0.625 0.625
Ge 0.875 0.875 0.875
Ge 0.125 0.125 0.125
Ge 0.781 0.781 0.157
Ge 0.781 0.157 0.781
Ge 0.157 0.781 0.781
Ge 0.781 0.781 0.781
Ge 0.219 0.219 0.843
Ge 0.219 0.843 0.219
Ge 0.843 0.219 0.219
Ge 0.219 0.219 0.219
Ge 0.628 0.628 0.237
Ge 0.006 0.237 0.628
Ge 0.237 0.006 0.628
Ge 0.628 0.628 0.006
Ge 0.237 0.628 0.628
Ge 0.628 0.006 0.237
Ge 0.628 0.237 0.006
Ge 0.006 0.628 0.628
Ge 0.628 0.237 0.628
Ge 0.237 0.628 0.006
Ge 0.006 0.628 0.237
Ge 0.628 0.006 0.628
Ge 0.372 0.372 0.763
Ge 0.994 0.763 0.372
Ge 0.763 0.994 0.372
Ge 0.372 0.372 0.994
Ge 0.763 0.372 0.372
Ge 0.372 0.994 0.763
Ge 0.372 0.763 0.994
Ge 0.994 0.372 0.372
Ge 0.372 0.763 0.372
Ge 0.763 0.372 0.994
Ge 0.994 0.372 0.763
Ge 0.372 0.994 0.372

***

First-principles (meta-GGA r2SCAN) data for a relaxed K3LiGe4 crystal, as listed in Materials Project.

Unit cell a=7.720 b=9.840 c=12.395 alpha=90.00 beta=90.00 gamma=90.00
Element x y z (fractional)
K 0.155 0.250 0.600
K 0.845 0.750 0.400
K 0.345 0.750 0.100
K 0.655 0.250 0.900
K 0.156 0.055 0.306
K 0.844 0.945 0.694
K 0.344 0.945 0.806
K 0.844 0.555 0.694
K 0.656 0.055 0.194
K 0.156 0.445 0.306
K 0.656 0.445 0.194
K 0.344 0.555 0.806
Li 0.000 0.000 0.000
Li 0.500 0.000 0.500
Li 0.000 0.500 0.000
Li 0.500 0.500 0.500
Ge 0.636 0.250 0.606
Ge 0.364 0.750 0.394
Ge 0.864 0.750 0.106
Ge 0.136 0.250 0.894
Ge 0.291 0.123 0.049
Ge 0.709 0.877 0.951
Ge 0.209 0.877 0.549
Ge 0.709 0.623 0.951
Ge 0.791 0.123 0.451
Ge 0.291 0.377 0.049
Ge 0.791 0.377 0.451
Ge 0.209 0.623 0.549
Ge 0.005 0.250 0.087
Ge 0.995 0.750 0.913
Ge 0.495 0.750 0.587
Ge 0.505 0.250 0.413

***

First-principles (meta-GGA r2SCAN) data for a relaxed KLi3GeO4 crystal, as listed in Materials Project.

Unit cell a=5.826 b=7.442 c=9.877 alpha=83.48 beta=76.48 gamma=79.68
Element x y z (fractional)
K 0.496 0.117 0.616
K 0.504 0.883 0.384
K 0.458 0.359 0.872
K 0.542 0.641 0.128
Li 0.978 0.823 0.113
Li 0.022 0.177 0.887
Li 0.305 0.324 0.354
Li 0.695 0.676 0.646
Li 0.930 0.547 0.876
Li 0.070 0.453 0.124
Li 0.036 0.927 0.628
Li 0.312 0.051 0.103
Li 0.692 0.444 0.396
Li 0.308 0.556 0.604
Li 0.964 0.073 0.372
Li 0.688 0.949 0.897
Ge 0.942 0.291 0.634
Ge 0.058 0.709 0.366
Ge 0.334 0.794 0.852
Ge 0.666 0.206 0.148
O 0.679 0.211 0.325
O 0.321 0.789 0.675
O 0.864 0.338 0.034
O 0.136 0.662 0.966
O 0.640 0.704 0.849
O 0.360 0.296 0.151
O 0.688 0.436 0.593
O 0.312 0.564 0.407
O 0.153 0.891 0.243
O 0.847 0.109 0.757
O 0.881 0.827 0.509
O 0.119 0.173 0.491
O 0.894 0.604 0.277
O 0.106 0.396 0.723
O 0.694 0.986 0.090
O 0.306 0.014 0.910

***

First-principles (meta-GGA r2SCAN) data for a relaxed K6Ge2O7 crystal, as listed in Materials Project.

Unit cell a=9.087 b=6.521 c=11.135 alpha=55.96 beta=90.00 gamma=90.00
Element x y z (fractional)
K 0.539 0.405 0.217
K 0.038 0.599 0.276
K 0.898 0.958 0.918
K 0.102 0.958 0.418
K 0.723 0.794 0.453
K 0.277 0.794 0.953
K 0.777 0.208 0.540
K 0.223 0.208 0.040
K 0.600 0.047 0.073
K 0.400 0.047 0.573
K 0.962 0.599 0.776
K 0.461 0.405 0.717
Ge 0.393 0.687 0.365
Ge 0.892 0.317 0.128
Ge 0.108 0.317 0.628
Ge 0.607 0.687 0.865
O 0.664 0.751 0.697
O 0.546 0.490 0.432
O 0.749 0.505 0.998
O 0.251 0.505 0.498
O 0.046 0.512 0.061
O 0.954 0.512 0.561
O 0.912 0.052 0.124
O 0.088 0.052 0.624
O 0.838 0.249 0.297
O 0.162 0.249 0.797
O 0.454 0.490 0.932
O 0.415 0.955 0.365
O 0.336 0.751 0.197
O 0.585 0.955 0.865

***

First-principles (meta-GGA r2SCAN) data for a relaxed K4GeS4 crystal, as listed in Materials Project.

Unit cell a=12.792 b=12.792 c=12.792 alpha=90.00 beta=90.00 gamma=90.00
Element x y z (fractional)
K 0.366 0.151 0.414
K 0.151 0.586 0.634
K 0.914 0.349 0.134
K 0.652 0.652 0.652
K 0.152 0.848 0.848
K 0.634 0.849 0.414
K 0.866 0.086 0.349
K 0.414 0.366 0.151
K 0.849 0.586 0.366
K 0.651 0.134 0.086
K 0.848 0.152 0.848
K 0.849 0.414 0.634
K 0.652 0.348 0.348
K 0.651 0.866 0.914
K 0.134 0.086 0.651
K 0.151 0.414 0.366
K 0.152 0.152 0.152
K 0.348 0.348 0.652
K 0.634 0.151 0.586
K 0.349 0.866 0.086
K 0.349 0.134 0.914
K 0.086 0.349 0.866
K 0.414 0.634 0.849
K 0.366 0.849 0.586
K 0.134 0.914 0.349
K 0.866 0.914 0.651
K 0.348 0.652 0.348
K 0.914 0.651 0.866
K 0.586 0.366 0.849
K 0.086 0.651 0.134
K 0.586 0.634 0.151
K 0.848 0.848 0.152
Ge 0.000 0.750 0.500
Ge 0.500 0.000 0.250
Ge 0.500 0.000 0.750
Ge 0.250 0.500 0.000
Ge 0.000 0.250 0.500
Ge 0.750 0.500 0.000
Ge 0.000 0.000 0.000
Ge 0.500 0.500 0.500
S 0.845 0.596 0.110
S 0.900 0.100 0.100
S 0.390 0.096 0.655
S 0.655 0.390 0.096
S 0.900 0.900 0.900
S 0.600 0.400 0.600
S 0.345 0.610 0.096
S 0.110 0.155 0.404
S 0.096 0.655 0.390
S 0.345 0.390 0.904
S 0.890 0.845 0.404
S 0.110 0.845 0.596
S 0.596 0.890 0.155
S 0.610 0.904 0.655
S 0.155 0.404 0.110
S 0.904 0.345 0.390
S 0.610 0.096 0.345
S 0.404 0.110 0.155
S 0.400 0.400 0.400
S 0.596 0.110 0.845
S 0.890 0.155 0.596
S 0.400 0.600 0.600
S 0.655 0.610 0.904
S 0.100 0.900 0.100
S 0.904 0.655 0.610
S 0.100 0.100 0.900
S 0.845 0.404 0.890
S 0.390 0.904 0.345
S 0.096 0.345 0.610
S 0.404 0.890 0.845
S 0.155 0.596 0.890
S 0.600 0.600 0.400

***

First-principles (meta-GGA r2SCAN) data for a relaxed K2Ge2S5 crystal, as listed in Materials Project.

Unit cell a=10.839 b=10.839 c=8.811 alpha=79.88 beta=79.88 gamma=90.10
Element x y z (fractional)
K 0.470 0.214 0.880
K 0.786 0.530 0.620
K 0.530 0.786 0.120
K 0.214 0.470 0.380
K 0.787 0.941 0.617
K 0.059 0.213 0.883
K 0.213 0.059 0.383
K 0.941 0.787 0.117
Ge 0.526 0.267 0.405
Ge 0.733 0.474 0.095
Ge 0.474 0.733 0.595
Ge 0.267 0.526 0.905
Ge 0.269 0.868 0.891
Ge 0.132 0.731 0.609
Ge 0.731 0.132 0.109
Ge 0.868 0.269 0.391
S 0.541 0.113 0.260
S 0.887 0.459 0.240
S 0.459 0.887 0.740
S 0.113 0.541 0.760
S 0.320 0.755 0.450
S 0.245 0.680 0.050
S 0.680 0.245 0.550
S 0.755 0.320 0.950
S 0.350 0.243 0.558
S 0.757 0.650 0.942
S 0.650 0.757 0.442
S 0.243 0.350 0.058
S 0.754 0.992 0.967
S 0.008 0.246 0.533
S 0.246 0.008 0.033
S 0.992 0.754 0.467
S 0.886 0.114 0.250
S 0.114 0.886 0.750
S 0.544 0.456 0.250
S 0.456 0.544 0.750

***

First-principles (meta-GGA r2SCAN) data for a relaxed K2GeSe3 crystal, as listed in Materials Project.

Unit cell a=6.879 b=7.432 c=8.644 alpha=75.34 beta=73.24 gamma=66.83
Element x y z (fractional)
K 0.389 0.798 0.890
K 0.611 0.202 0.110
K 0.153 0.463 0.680
K 0.847 0.537 0.320
Ge 0.860 0.058 0.684
Ge 0.140 0.942 0.316
Se 0.664 0.384 0.716
Se 0.336 0.616 0.284
Se 0.866 0.816 0.911
Se 0.134 0.184 0.089
Se 0.224 0.036 0.535
Se 0.776 0.964 0.465

***

So what do the calculations give for size of the total moment? Going down the list: 0.00, 0.00, 0.00, 0.00, 0.00, 0.00, 0.00, 0.00 μB/f.u..
So what do the calculations give for V? Going down the list: 201.6, 964.0, 941.6, 408.5, 546.8, 2093.2, 1002.6, 384.1 Å³/cell.
So what do the calculations give for raw total energy? Going down the list: -30.65, -12.78, -9.82, -7.78, -8.93, -9.03, -9.78, -12.49 eV per atom.